A relaxed structure of Na2MnPCO7, computed with PBE with a Hubbard U.

Output
Space-group type ... P1, No. 1
Distance to the lowest polymorph of the same formula ... 13 meV per atom
Calculated density ... 2.7 g cm⁻³

Unit cell a=6.762 b=10.171 c=10.376 alpha=60.95 beta=89.37 gamma=89.24
Element x y z (fractional)
Mn1 0.751 0.648 0.565
Mn2 0.254 0.349 0.937
Mn3 0.261 0.347 0.428
Mn4 0.749 0.646 0.068
Na1 0.493 0.761 0.742
Na2 0.738 0.084 0.082
Na3 0.015 0.743 0.252
Na4 0.507 0.250 0.738
Na5 0.006 0.759 0.742
Na6 0.986 0.247 0.265
Na7 0.483 0.744 0.254
Na8 0.996 0.250 0.742
O1 0.062 0.675 0.051
O2 0.252 0.544 0.431
O3 0.940 0.327 0.450
O4 0.569 0.327 0.945
O5 0.259 0.146 0.952
O6 0.758 0.068 0.321
O7 0.238 0.163 0.153
O8 0.752 0.576 0.791
O9 0.246 0.932 0.675
O10 0.249 0.142 0.452
O11 0.252 0.166 0.650
O12 0.566 0.326 0.462
O13 0.749 0.846 0.841
O14 0.748 0.839 0.337
O15 0.437 0.669 0.554
O16 0.063 0.672 0.553
O17 0.250 0.425 0.711
O18 0.247 0.931 0.171
O19 0.752 0.071 0.841
O20 0.934 0.322 0.948
O21 0.758 0.454 0.574
O22 0.251 0.546 0.931
O23 0.436 0.669 0.055
O24 0.748 0.573 0.295
O25 0.242 0.427 0.209
O26 0.757 0.456 0.067
O27 0.746 0.851 0.051
O28 0.748 0.854 0.542
C1 0.247 0.072 0.099
C2 0.751 0.929 0.396
C3 0.248 0.072 0.598
C4 0.749 0.929 0.904
P1 0.251 0.578 0.565
P2 0.751 0.422 0.935
P3 0.249 0.578 0.066
P4 0.752 0.418 0.440

=====

A relaxed structure of NaMnPCO7, computed with PBE with a Hubbard U.

Output
Space-group type ... P-1, No. 2
Distance to the lowest polymorph of the same formula ... 0 meV per atom
Calculated density ... 2.6 g cm⁻³

Unit cell a=5.158 b=6.194 c=9.435 alpha=91.73 beta=91.60 gamma=91.59
Element x y z (fractional)
O1 0.335 0.242 0.972
O2 0.247 0.935 0.325
O3 0.427 0.256 0.525
O4 0.167 0.552 0.359
O5 0.474 0.272 0.202
O6 0.871 0.189 0.427
O7 0.060 0.233 0.156
O8 0.573 0.744 0.475
O9 0.940 0.767 0.844
O10 0.129 0.811 0.573
O11 0.833 0.448 0.641
O12 0.753 0.065 0.675
O13 0.526 0.728 0.798
O14 0.665 0.758 0.028
P1 0.721 0.243 0.562
P2 0.279 0.757 0.438
Na1 0.747 0.948 0.230
Na2 0.253 0.052 0.770
C1 0.292 0.249 0.099
C2 0.708 0.751 0.901
Mn1 0.784 0.752 0.650
Mn2 0.216 0.248 0.350

=====

A relaxed structure of NaMnPCO7, computed with PBE with a Hubbard U.

Output
Space-group type ... Cm, No. 8
Distance to the lowest polymorph of the same formula ... 21 meV per atom
Calculated density ... 2.6 g cm⁻³

Unit cell a=8.172 b=8.172 c=10.274 alpha=72.30 beta=72.30 gamma=100.43
Element x y z (fractional)
P1 0.305 0.305 0.430
P2 0.201 0.699 0.569
P3 0.797 0.797 0.433
P4 0.699 0.201 0.569
C1 0.221 0.719 0.077
C2 0.272 0.272 0.933
C3 0.782 0.782 0.917
C4 0.719 0.221 0.077
Mn1 0.441 0.441 0.666
Mn2 0.936 0.936 0.651
Mn3 0.061 0.562 0.343
Mn4 0.562 0.061 0.343
O1 0.353 0.841 0.427
O2 0.579 0.075 0.142
O3 0.188 0.188 0.066
O4 0.714 0.906 0.330
O5 0.269 0.577 0.675
O6 0.652 0.652 0.576
O7 0.158 0.158 0.574
O8 0.075 0.579 0.142
O9 0.432 0.432 0.471
O10 0.263 0.764 0.179
O11 0.306 0.798 0.943
O12 0.841 0.353 0.427
O13 0.789 0.095 0.665
O14 0.798 0.306 0.943
O15 0.422 0.227 0.330
O16 0.415 0.415 0.871
O17 0.231 0.231 0.827
O18 0.923 0.923 0.472
O19 0.227 0.422 0.330
O20 0.577 0.269 0.675
O21 0.764 0.263 0.179
O22 0.702 0.702 0.054
O23 0.736 0.736 0.819
O24 0.906 0.714 0.330
O25 0.095 0.789 0.665
O26 0.576 0.074 0.527
O27 0.074 0.576 0.527
O28 0.925 0.925 0.852
Na1 0.269 0.981 0.754
Na2 0.510 0.758 0.234
Na3 0.981 0.269 0.754
Na4 0.758 0.510 0.234

=====

A relaxed structure of Na5Mn2P2C2O14, computed with PBE with a Hubbard U.

Output
Space-group type ... P-1, No. 2
Distance to the lowest polymorph of the same formula ... 0 meV per atom
Calculated density ... 2.8 g cm⁻³

Unit cell a=8.493 b=8.536 c=10.463 alpha=108.31 beta=107.86 gamma=103.01
Element x y z (fractional)
Na1 0.266 0.768 0.764
Na2 0.252 0.761 0.255
Na3 0.198 0.450 0.920
Na4 0.995 0.990 0.762
Na5 0.005 0.010 0.238
Na6 0.491 0.479 0.253
Na7 0.734 0.232 0.236
Na8 0.509 0.521 0.747
Na9 0.748 0.239 0.745
Na10 0.802 0.550 0.080
O1 0.957 0.212 0.925
O2 0.964 0.223 0.148
O3 0.980 0.403 0.678
O4 0.526 0.077 0.336
O5 0.826 0.577 0.864
O6 0.300 0.051 0.448
O7 0.339 0.268 0.331
O8 0.663 0.912 0.150
O9 0.337 0.088 0.850
O10 0.170 0.223 0.671
O11 0.543 0.298 0.848
O12 0.457 0.702 0.152
O13 0.036 0.777 0.852
O14 0.074 0.829 0.573
O15 0.020 0.597 0.322
O16 0.830 0.777 0.329
O17 0.700 0.949 0.552
O18 0.661 0.732 0.669
O19 0.043 0.788 0.075
O20 0.421 0.676 0.424
O21 0.926 0.171 0.427
O22 0.799 0.548 0.436
O23 0.579 0.324 0.576
O24 0.174 0.423 0.136
O25 0.450 0.695 0.933
O26 0.550 0.305 0.067
O27 0.474 0.923 0.664
O28 0.201 0.452 0.564
P1 0.066 0.311 0.580
P2 0.934 0.689 0.420
P3 0.561 0.815 0.576
P4 0.439 0.185 0.424
C1 0.029 0.282 0.066
C2 0.480 0.233 0.926
C3 0.520 0.767 0.074
C4 0.971 0.718 0.934
Mn1 0.808 0.553 0.641
Mn2 0.307 0.059 0.641
Mn3 0.693 0.941 0.359
Mn4 0.192 0.447 0.359

=====

A relaxed structure of Na5Mn2P2C2O14, computed with PBE with a Hubbard U.

Output
Space-group type ... P2_1/m, No. 11
Distance to the lowest polymorph of the same formula ... 8 meV per atom
Calculated density ... 2.8 g cm⁻³

Unit cell a=6.644 b=5.249 c=17.968 alpha=88.97 beta=90.00 gamma=90.00
Element x y z (fractional)
O1 0.559 0.783 0.915
O2 0.250 0.596 0.030
O3 0.750 0.834 0.536
O4 0.750 0.405 0.473
O5 0.750 0.275 0.785
O6 0.750 0.052 0.679
O7 0.250 0.172 0.962
O8 0.750 0.050 0.185
O9 0.059 0.217 0.085
O10 0.564 0.776 0.411
O11 0.750 0.404 0.970
O12 0.250 0.527 0.328
O13 0.750 0.475 0.177
O14 0.436 0.224 0.589
O15 0.064 0.224 0.589
O16 0.250 0.722 0.710
O17 0.441 0.217 0.085
O18 0.936 0.776 0.411
O19 0.750 0.278 0.290
O20 0.250 0.948 0.321
O21 0.250 0.525 0.823
O22 0.750 0.828 0.038
O23 0.250 0.595 0.527
O24 0.250 0.166 0.464
O25 0.250 0.725 0.215
O26 0.750 0.473 0.672
O27 0.250 0.950 0.815
O28 0.941 0.783 0.915
C1 0.250 0.731 0.782
C2 0.750 0.269 0.218
C3 0.750 0.270 0.715
C4 0.250 0.730 0.285
Na1 0.996 0.752 0.626
Na2 0.510 0.245 0.876
Na3 0.990 0.245 0.876
Na4 0.496 0.248 0.374
Na5 0.750 0.760 0.288
Na6 0.504 0.752 0.626
Na7 0.490 0.755 0.124
Na8 0.010 0.755 0.124
Na9 0.250 0.240 0.712
Na10 0.004 0.248 0.374
Mn1 0.250 0.779 0.929
Mn2 0.250 0.779 0.427
Mn3 0.750 0.221 0.573
Mn4 0.750 0.221 0.071
P1 0.750 0.704 0.960
P2 0.250 0.296 0.040
P3 0.750 0.702 0.460
P4 0.250 0.298 0.540

=====

A relaxed structure of Na5Mn2P2C2O14, computed with PBE with a Hubbard U.

Output
Space-group type ... P-1, No. 2
Distance to the lowest polymorph of the same formula ... 3 meV per atom
Calculated density ... 2.8 g cm⁻³

Unit cell a=8.462 b=8.481 c=9.014 alpha=90.66 beta=90.62 gamma=103.23
Element x y z (fractional)
O1 0.145 0.078 0.323
O2 0.110 0.356 0.145
O3 0.331 0.892 0.324
O4 0.619 0.872 0.150
O5 0.921 0.673 0.441
O6 0.855 0.922 0.677
O7 0.381 0.128 0.850
O8 0.520 0.776 0.926
O9 0.426 0.173 0.443
O10 0.408 0.661 0.139
O11 0.001 0.244 0.925
O12 0.592 0.339 0.861
O13 0.286 0.536 0.421
O14 0.890 0.644 0.855
O15 0.826 0.389 0.333
O16 0.898 0.146 0.141
O17 0.211 0.962 0.571
O18 0.574 0.827 0.557
O19 0.669 0.108 0.676
O20 0.079 0.327 0.559
O21 0.364 0.422 0.666
O22 0.714 0.464 0.579
O23 0.480 0.224 0.074
O24 0.102 0.854 0.859
O25 0.174 0.611 0.667
O26 0.789 0.038 0.429
O27 0.999 0.756 0.075
O28 0.636 0.578 0.334
Na1 0.130 0.137 0.744
Na2 0.365 0.855 0.747
Na3 0.870 0.863 0.256
Na4 0.613 0.611 0.766
Na5 0.387 0.389 0.234
Na6 0.115 0.613 0.238
Na7 0.241 0.991 0.080
Na8 0.759 0.009 0.920
Na9 0.635 0.145 0.253
Na10 0.885 0.387 0.762
P1 0.227 0.476 0.577
P2 0.724 0.975 0.581
P3 0.276 0.025 0.419
P4 0.773 0.524 0.423
C1 0.517 0.769 0.068
C2 0.995 0.748 0.933
C3 0.483 0.231 0.932
C4 0.005 0.252 0.067
Mn1 0.516 0.265 0.644
Mn2 0.986 0.235 0.358
Mn3 0.484 0.735 0.356
Mn4 0.014 0.765 0.642

=====

no.,corrected total energy (MP2020 scheme) (eV/atom)
1,-7.3925
2,-7.6150
3,-7.5936
4,-7.2791
5,-7.2712
6,-7.2765